CuAs2H6C2IO2 after structural relaxation. Source: the Materials Project database, functional PBE. Values from VASP.

The structure in Quantum ESPRESSO input format:
```
&SYSTEM
  ibrav = 0, nat = 112, ntyp = 6
/
ATOMIC_SPECIES
Cu 63.55 Cu.upf
As 74.92 As.upf
H 1.01 H.upf
C 12.01 C.upf
I 126.90 I.upf
O 16.00 O.upf
CELL_PARAMETERS angstrom
12.9746 -4.1424 0.0000
12.9746 4.1424 0.0000
-6.0510 0.0000 17.4111
ATOMIC_POSITIONS crystal
Cu 0.0152 0.7219 0.5660
Cu 0.1438 0.4260 0.5729
Cu 0.2781 0.9848 0.9340
Cu 0.4260 0.1438 0.0729
Cu 0.5740 0.8562 0.9271
Cu 0.7219 0.0152 0.0660
Cu 0.8562 0.5740 0.4271
Cu 0.9848 0.2781 0.4340
As 0.0210 0.1082 0.6008
As 0.0280 0.2877 0.9458
As 0.1082 0.0210 0.1008
As 0.1401 0.3818 0.1003
As 0.1493 0.7694 0.5648
As 0.2306 0.8507 0.9352
As 0.2877 0.0280 0.4458
As 0.3818 0.1401 0.6003
As 0.6182 0.8599 0.3997
As 0.7123 0.9720 0.5542
As 0.7694 0.1493 0.0648
As 0.8507 0.2306 0.4352
As 0.8599 0.6182 0.8997
As 0.8918 0.9790 0.8992
As 0.9720 0.7123 0.0542
As 0.9790 0.8918 0.3992
H 0.0220 0.7736 0.2594
H 0.0393 0.4823 0.7966
H 0.1296 0.2896 0.1931
H 0.1748 0.3872 0.2443
H 0.1785 0.6044 0.3202
H 0.1925 0.6575 0.0424
H 0.2022 0.7109 0.3088
H 0.2094 0.6343 0.1377
H 0.2264 0.9780 0.2406
H 0.2891 0.7978 0.1912
H 0.2896 0.1296 0.6931
H 0.2940 0.4650 0.0621
H 0.2996 0.6048 0.8916
H 0.3425 0.8075 0.4576
H 0.3657 0.7906 0.3623
H 0.3872 0.1748 0.7443
H 0.3952 0.7004 0.6084
H 0.3956 0.8215 0.1798
H 0.4011 0.5900 0.8377
H 0.4100 0.5989 0.6623
H 0.4650 0.2940 0.5621
H 0.4698 0.5116 0.5658
H 0.4823 0.0393 0.2966
H 0.4884 0.5302 0.9342
H 0.5116 0.4698 0.0658
H 0.5177 0.9607 0.7034
H 0.5302 0.4884 0.4342
H 0.5350 0.7060 0.4379
H 0.5900 0.4011 0.3377
H 0.5989 0.4100 0.1623
H 0.6044 0.1785 0.8202
H 0.6048 0.2996 0.3916
H 0.6128 0.8252 0.2557
H 0.6343 0.2094 0.6377
H 0.6575 0.1925 0.5424
H 0.7004 0.3952 0.1084
H 0.7060 0.5350 0.9379
H 0.7104 0.8704 0.3069
H 0.7109 0.2022 0.8088
H 0.7736 0.0220 0.7594
H 0.7906 0.3657 0.8623
H 0.7978 0.2891 0.6912
H 0.8075 0.3425 0.9576
H 0.8215 0.3956 0.6798
H 0.8252 0.6128 0.7557
H 0.8704 0.7104 0.8069
H 0.9607 0.5177 0.2034
H 0.9780 0.2264 0.7406
C 0.0965 0.3959 0.1967
C 0.1114 0.7257 0.3117
C 0.1938 0.6034 0.0764
C 0.2743 0.8886 0.1883
C 0.3716 0.6166 0.8950
C 0.3834 0.6284 0.6050
C 0.3959 0.0965 0.6967
C 0.3966 0.8062 0.4236
C 0.6034 0.1938 0.5764
C 0.6041 0.9035 0.3033
C 0.6166 0.3716 0.3950
C 0.6284 0.3834 0.1050
C 0.7257 0.1114 0.8117
C 0.8062 0.3966 0.9236
C 0.8886 0.2743 0.6883
C 0.9035 0.6041 0.8033
I 0.1113 0.5006 0.4416
I 0.1434 0.5893 0.6948
I 0.4107 0.8566 0.8052
I 0.4994 0.8887 0.0584
I 0.5006 0.1113 0.9416
I 0.5893 0.1434 0.1948
I 0.8566 0.4107 0.3052
I 0.8887 0.4994 0.5584
O 0.0007 0.6059 0.1142
O 0.0140 0.5931 0.9604
O 0.0259 0.9686 0.8822
O 0.0314 0.9741 0.6178
O 0.1659 0.7767 0.4729
O 0.2233 0.8341 0.0271
O 0.3941 0.9993 0.3858
O 0.4069 0.9860 0.5396
O 0.5931 0.0140 0.4604
O 0.6059 0.0007 0.6142
O 0.7767 0.1659 0.9729
O 0.8341 0.2233 0.5271
O 0.9686 0.0259 0.3822
O 0.9741 0.0314 0.1178
O 0.9860 0.4069 0.0396
O 0.9993 0.3941 0.8858
```

Calculated values
uncorrected energy: -0.1814 hartree per atom
space group: C2/c, No. 15
energy relative to the elements: -488 meV/atom